The following is a r2SCAN calculation of a relaxed structure of HfN, from the Materials Project database.

Its energy relative to the elements is -1.96 eV per atom. The calculation puts the density at 13.9 g/cm3. The spin magnetization is 0.00 μB per formula unit.

The space group is P6_3/mmc (No. 194) and the conventional cell measures 3.1339, 3.1339 and 5.4168 Å, with angles of 90.00, 90.00 and 120.00 degrees. The distinct sites, in fractional coordinates, are Hf at (0.3333, 0.6667, 0.2500) and N at (0.0000, 0.0000, 0.0000).